Entry from the Materials Project: a relaxed structure of TbCl2F (r2SCAN).

Calculated values
ΔH_f (0 K) ... -3.193 eV/atom

abc: 8.8708 5.8038 6.8168
angles: 90.00 109.57 90.00
Space group C2/c (No. 15)
Symmetry-distinct sites (fractional):
Tb1 0.0000 0.2317 0.2500 x4
Cl1 0.1896 0.4725 0.6068 x8
F1 0.0000 0.0000 0.0000 x4